An optimized crystal structure of EuAg4Sb2, computed with PBE.

Properties
**SG**: R-3m, No. 166
**Total energy**: -4.58 eV per atom
**DFT formation energy**: -252 kJ/mol of formula units

a = 8.658 Å, b = 8.658 Å, c = 8.658 Å
α = 32.10°, β = 32.10°, γ = 32.10°
Fractional positions:
Eu 0.000 0.000 0.000
Ag 0.142 0.142 0.142
Ag 0.434 0.434 0.434
Ag 0.566 0.566 0.566
Ag 0.858 0.858 0.858
Sb 0.259 0.259 0.259
Sb 0.741 0.741 0.741

An optimized crystal structure of KYTe2O6, computed with PBE.

Properties
**SG**: Pnma, No. 62
**Total energy**: -6.25 eV per atom
**DFT formation energy**: -2231 kJ/mol of formula units

a = 13.853 Å, b = 6.095 Å, c = 8.741 Å
α = 90.00°, β = 90.00°, γ = 90.00°
Fractional positions:
K 0.129 0.250 0.004
K 0.371 0.750 0.504
K 0.629 0.250 0.496
K 0.871 0.750 0.996
Y 0.091 0.750 0.289
Y 0.409 0.250 0.789
Y 0.591 0.750 0.211
Y 0.909 0.250 0.711
Te 0.079 0.750 0.721
Te 0.197 0.250 0.504
Te 0.303 0.750 0.004
Te 0.421 0.250 0.221
Te 0.579 0.750 0.779
Te 0.697 0.250 0.996
Te 0.803 0.750 0.496
Te 0.921 0.250 0.279
O 0.009 0.512 0.805
O 0.009 0.988 0.805
O 0.023 0.750 0.523
O 0.169 0.750 0.055
O 0.200 0.010 0.367
O 0.200 0.490 0.367
O 0.300 0.510 0.867
O 0.300 0.990 0.867
O 0.331 0.250 0.555
O 0.477 0.250 0.023
O 0.491 0.012 0.305
O 0.491 0.488 0.305
O 0.509 0.512 0.695
O 0.509 0.988 0.695
O 0.523 0.750 0.977
O 0.669 0.750 0.445
O 0.700 0.010 0.133
O 0.700 0.490 0.133
O 0.800 0.510 0.633
O 0.800 0.990 0.633
O 0.831 0.250 0.945
O 0.977 0.250 0.477
O 0.991 0.012 0.195
O 0.991 0.488 0.195

An optimized crystal structure of Cu4OF6, computed with PBE.

Properties
**SG**: P4_2/nmc, No. 137
**Total energy**: -4.25 eV per atom
**DFT formation energy**: -1676 kJ/mol of formula units

a = 6.866 Å, b = 6.866 Å, c = 5.142 Å
α = 90.00°, β = 90.00°, γ = 90.00°
Fractional positions:
Cu 0.006 0.750 0.065
Cu 0.250 0.506 0.435
Cu 0.250 0.994 0.435
Cu 0.494 0.750 0.065
Cu 0.506 0.250 0.935
Cu 0.750 0.006 0.565
Cu 0.750 0.494 0.565
Cu 0.994 0.250 0.935
O 0.250 0.750 0.250
O 0.750 0.250 0.750
F 0.039 0.539 0.750
F 0.039 0.961 0.750
F 0.250 0.250 0.075
F 0.250 0.250 0.575
F 0.461 0.539 0.750
F 0.461 0.961 0.750
F 0.539 0.039 0.250
F 0.539 0.461 0.250
F 0.750 0.750 0.425
F 0.750 0.750 0.925
F 0.961 0.039 0.250
F 0.961 0.461 0.250

An optimized crystal structure of LuSi2Rh2, computed with PBE.

Properties
**SG**: I4/mmm, No. 139
**Total energy**: -7.12 eV per atom
**DFT formation energy**: -528 kJ/mol of formula units

a = 5.713 Å, b = 5.713 Å, c = 5.713 Å
α = 138.54°, β = 138.54°, γ = 60.08°
Fractional positions:
Lu 0.000 0.000 0.000
Si 0.380 0.380 0.000
Si 0.620 0.620 0.000
Rh 0.250 0.750 0.500
Rh 0.750 0.250 0.500